1.
# YNb2NO5 (PBE-GGA, optimized geometry)
# Energy of formation from the pure elements: -2.922 eV per atom
# E above lowest polymorph: 4.3 meV per atom
data_YNb2NO5
_chemical_formula_sum 'Y4 Nb8 N4 O20'
_symmetry_space_group_name_H-M 'P 1'
_symmetry_Int_Tables_number 1
_cell_length_a 5.306
_cell_length_b 5.797
_cell_length_c 15.028
_cell_angle_alpha 89.73
_cell_angle_beta 89.72
_cell_angle_gamma 89.73
loop_
_symmetry_equiv_pos_as_xyz
'x,y,z'
loop_
_atom_site_label
_atom_site_fract_x
_atom_site_fract_y
_atom_site_fract_z
Y1 0.000 0.000 0.000
Y2 0.002 0.526 0.503
Y3 0.498 0.966 0.503
Y4 0.501 0.452 0.002
Nb1 0.050 0.055 0.331
Nb2 0.050 0.543 0.166
Nb3 0.448 0.927 0.831
Nb4 0.451 0.426 0.670
Nb5 0.536 0.924 0.173
Nb6 0.547 0.432 0.340
Nb7 0.935 0.064 0.671
Nb8 0.966 0.557 0.842
N1 0.240 0.665 0.907
N2 0.351 0.107 0.254
N3 0.617 0.115 0.740
N4 0.654 0.646 0.419
O1 0.119 0.375 0.742
O2 0.122 0.878 0.757
O3 0.160 0.846 0.417
O4 0.161 0.322 0.084
O5 0.228 0.187 0.593
O6 0.236 0.320 0.405
O7 0.257 0.798 0.095
O8 0.333 0.142 0.916
O9 0.336 0.654 0.588
O10 0.371 0.608 0.239
O11 0.613 0.614 0.757
O12 0.659 0.128 0.083
O13 0.734 0.321 0.591
O14 0.742 0.164 0.403
O15 0.742 0.810 0.904
O16 0.768 0.654 0.093
O17 0.835 0.328 0.919
O18 0.837 0.845 0.586
O19 0.865 0.866 0.242
O20 0.874 0.373 0.258

2.
# YNb2NO5 (PBE-GGA, optimized geometry)
# Energy of formation from the pure elements: -2.901 eV per atom
# E above lowest polymorph: 25.6 meV per atom
data_YNb2NO5
_chemical_formula_sum 'Y4 Nb8 N4 O20'
_symmetry_space_group_name_H-M 'P 1 21 1'
_symmetry_Int_Tables_number 4
_cell_length_a 5.963
_cell_length_b 5.284
_cell_length_c 15.028
_cell_angle_alpha 90.00
_cell_angle_beta 90.31
_cell_angle_gamma 90.00
loop_
_symmetry_equiv_pos_as_xyz
'x,y,z'
'-x,y+1/2,-z'
loop_
_atom_site_label
_atom_site_fract_x
_atom_site_fract_y
_atom_site_fract_z
Y1 0.049 0.000 0.253
Y2 0.448 0.500 0.249
Nb1 0.074 0.995 0.918
Nb2 0.082 0.034 0.585
Nb3 0.429 0.505 0.584
Nb4 0.442 0.481 0.914
N1 0.335 0.213 0.651
N2 0.360 0.864 0.168
O1 0.109 0.678 0.996
O2 0.117 0.348 0.506
O3 0.124 0.363 0.168
O4 0.136 0.646 0.333
O5 0.160 0.302 0.851
O6 0.161 0.714 0.648
O7 0.338 0.803 0.853
O8 0.364 0.152 0.334
O9 0.374 0.162 0.993
O10 0.375 0.848 0.504

3.
# YNb2NO5 (PBE-GGA, optimized geometry)
# Energy of formation from the pure elements: -2.901 eV per atom
# E above lowest polymorph: 25.1 meV per atom
data_YNb2NO5
_chemical_formula_sum 'Y4 Nb8 N4 O20'
_symmetry_space_group_name_H-M 'P 1 c 1'
_symmetry_Int_Tables_number 7
_cell_length_a 5.295
_cell_length_b 15.026
_cell_length_c 5.939
_cell_angle_alpha 90.00
_cell_angle_beta 90.33
_cell_angle_gamma 90.00
loop_
_symmetry_equiv_pos_as_xyz
'x,y,z'
'x,-y,z+1/2'
loop_
_atom_site_label
_atom_site_fract_x
_atom_site_fract_y
_atom_site_fract_z
Y1 0.000 0.248 0.000
Y2 0.500 0.250 0.593
Nb1 0.018 0.419 0.478
Nb2 0.467 0.082 0.117
Nb3 0.518 0.413 0.107
Nb4 0.986 0.088 0.466
N1 0.275 0.152 0.369
N2 0.638 0.332 0.909
O1 0.139 0.333 0.679
O2 0.145 0.004 0.159
O3 0.200 0.351 0.211
O4 0.322 0.496 0.432
O5 0.347 0.164 0.899
O6 0.639 0.006 0.420
O7 0.706 0.352 0.385
O8 0.777 0.150 0.202
O9 0.841 0.494 0.164
O10 0.849 0.168 0.679

4.
# YNb2NO5 (PBE-GGA, optimized geometry)
# Energy of formation from the pure elements: -2.926 eV per atom
# E above lowest polymorph: 0.0 meV per atom
data_YNb2NO5
_chemical_formula_sum 'Y4 Nb8 N4 O20'
_symmetry_space_group_name_H-M 'P 1'
_symmetry_Int_Tables_number 1
_cell_length_a 5.292
_cell_length_b 5.850
_cell_length_c 15.038
_cell_angle_alpha 89.93
_cell_angle_beta 89.98
_cell_angle_gamma 89.21
loop_
_symmetry_equiv_pos_as_xyz
'x,y,z'
loop_
_atom_site_label
_atom_site_fract_x
_atom_site_fract_y
_atom_site_fract_z
Y1 0.000 0.000 0.000
Y2 0.000 0.492 0.507
Y3 0.473 0.433 0.005
Y4 0.476 0.930 0.506
Nb1 0.018 0.024 0.335
Nb2 0.032 0.521 0.166
Nb3 0.464 0.406 0.677
Nb4 0.464 0.906 0.829
Nb5 0.504 0.893 0.164
Nb6 0.529 0.395 0.339
Nb7 0.942 0.030 0.670
Nb8 0.943 0.531 0.836
N1 0.141 0.305 0.088
N2 0.218 0.783 0.102
N3 0.628 0.099 0.745
N4 0.632 0.601 0.759
O1 0.130 0.352 0.747
O2 0.132 0.853 0.758
O3 0.140 0.814 0.421
O4 0.232 0.145 0.597
O5 0.234 0.285 0.410
O6 0.238 0.642 0.906
O7 0.333 0.613 0.587
O8 0.334 0.114 0.917
O9 0.342 0.077 0.264
O10 0.349 0.572 0.253
O11 0.643 0.101 0.083
O12 0.643 0.606 0.423
O13 0.710 0.622 0.107
O14 0.729 0.131 0.412
O15 0.747 0.296 0.598
O16 0.747 0.795 0.908
O17 0.826 0.320 0.919
O18 0.829 0.817 0.586
O19 0.833 0.847 0.254
O20 0.848 0.336 0.268

5.
# YNb2NO5 (PBE-GGA, optimized geometry)
# Energy of formation from the pure elements: -2.904 eV per atom
# E above lowest polymorph: 21.8 meV per atom
data_YNb2NO5
_chemical_formula_sum 'Y4 Nb8 N4 O20'
_symmetry_space_group_name_H-M 'P -1'
_symmetry_Int_Tables_number 2
_cell_length_a 5.294
_cell_length_b 5.944
_cell_length_c 15.043
_cell_angle_alpha 89.67
_cell_angle_beta 89.30
_cell_angle_gamma 89.67
loop_
_symmetry_equiv_pos_as_xyz
'x,y,z'
'-x,-y,-z'
loop_
_atom_site_label
_atom_site_fract_x
_atom_site_fract_y
_atom_site_fract_z
Y1 0.249 0.298 0.499
Y2 0.250 0.793 0.997
Nb1 0.220 0.813 0.663
Nb2 0.248 0.327 0.838
Nb3 0.267 0.815 0.330
Nb4 0.284 0.322 0.166
N1 0.108 0.612 0.582
N2 0.466 0.578 0.098
O1 0.032 0.593 0.898
O2 0.037 0.091 0.601
O3 0.100 0.627 0.245
O4 0.101 0.118 0.919
O5 0.104 0.131 0.257
O6 0.396 0.105 0.084
O7 0.397 0.615 0.414
O8 0.404 0.632 0.757
O9 0.417 0.142 0.748
O10 0.462 0.081 0.398

6.
# YNb2NO5 (PBE-GGA, optimized geometry)
# Energy of formation from the pure elements: -2.914 eV per atom
# E above lowest polymorph: 12.1 meV per atom
data_YNb2NO5
_chemical_formula_sum 'Y4 Nb8 N4 O20'
_symmetry_space_group_name_H-M 'P 1'
_symmetry_Int_Tables_number 1
_cell_length_a 5.283
_cell_length_b 5.924
_cell_length_c 14.997
_cell_angle_alpha 89.82
_cell_angle_beta 89.78
_cell_angle_gamma 89.80
loop_
_symmetry_equiv_pos_as_xyz
'x,y,z'
loop_
_atom_site_label
_atom_site_fract_x
_atom_site_fract_y
_atom_site_fract_z
Y1 0.000 0.000 0.000
Y2 0.001 0.500 0.498
Y3 0.496 0.915 0.501
Y4 0.498 0.404 0.002
Nb1 0.010 0.530 0.831
Nb2 0.016 0.012 0.673
Nb3 0.464 0.377 0.339
Nb4 0.465 0.885 0.172
Nb5 0.515 0.383 0.665
Nb6 0.531 0.894 0.835
Nb7 0.972 0.533 0.168
Nb8 0.988 0.018 0.331
N1 0.152 0.826 0.244
N2 0.278 0.131 0.400
N3 0.644 0.094 0.918
N4 0.850 0.826 0.756
O1 0.141 0.325 0.917
O2 0.145 0.814 0.582
O3 0.146 0.337 0.253
O4 0.208 0.786 0.898
O5 0.223 0.292 0.596
O6 0.274 0.624 0.096
O7 0.334 0.559 0.752
O8 0.341 0.078 0.742
O9 0.348 0.094 0.086
O10 0.350 0.602 0.418
O11 0.644 0.573 0.240
O12 0.645 0.590 0.582
O13 0.651 0.077 0.254
O14 0.706 0.612 0.901
O15 0.716 0.121 0.599
O16 0.776 0.788 0.097
O17 0.777 0.301 0.399
O18 0.844 0.330 0.742
O19 0.845 0.819 0.418
O20 0.856 0.321 0.083